Entry 1:
! CrH17N4Cl2O3, relaxed, DFT PBE+U; values from VASP
&SYSTEM
  ibrav = 0, nat = 108, ntyp = 5
/
ATOMIC_SPECIES
Cr 52.00 Cr.upf
H 1.01 H.upf
N 14.01 N.upf
Cl 35.45 Cl.upf
O 16.00 O.upf
ATOMIC_POSITIONS angstrom
Cr 0.462 0.718 1.278
Cr -3.495 4.383 6.628
Cr 5.102 5.820 4.071
Cr 1.145 9.485 9.421
H -0.459 6.130 1.149
H -4.416 9.175 6.499
H -1.244 2.471 2.278
H -5.201 2.631 7.627
H -6.545 1.151 9.609
H -2.588 3.951 4.259
H -1.840 6.311 3.700
H -5.797 8.994 9.050
H -2.430 7.506 4.703
H -6.387 7.800 10.053
H -2.474 0.123 4.981
H -6.431 4.979 10.331
H -2.427 2.055 6.030
H 1.530 3.046 0.681
H -0.566 0.721 3.721
H -4.523 4.381 9.071
H -2.924 1.999 7.625
H 1.033 3.102 2.276
H -3.606 5.760 8.896
H 0.351 9.545 3.546
H -1.860 6.482 6.718
H 2.097 8.823 1.369
H -1.138 5.242 5.848
H 2.819 10.063 0.499
H 0.776 6.991 3.396
H -3.181 8.314 8.746
H 2.487 2.413 1.874
H -1.470 2.689 7.223
H 1.095 0.782 3.865
H -2.862 4.319 9.215
H -1.141 5.195 7.502
H 2.816 10.110 2.152
H 0.954 7.251 4.930
H -3.003 8.055 10.279
H 4.609 2.149 0.420
H 0.652 2.953 5.770
H -1.209 0.094 8.547
H 2.748 5.008 3.198
H 4.468 5.884 1.485
H 0.511 9.421 6.834
H 3.076 7.515 3.476
H -0.881 7.790 8.826
H 4.787 1.889 1.954
H 0.830 3.212 7.304
H -1.213 0.141 10.201
H 2.744 4.961 4.851
H -0.490 1.380 9.331
H 3.467 3.722 3.981
H 1.256 0.659 7.154
H 5.213 4.443 1.804
H 0.573 7.101 8.424
H 4.530 8.204 3.074
H 6.130 5.823 1.628
H 2.173 9.482 6.978
H 0.076 7.157 10.019
H 4.033 8.148 4.669
H 8.037 5.225 0.368
H 4.080 10.081 5.718
H 7.993 2.404 0.647
H 4.036 2.698 5.996
H 7.403 1.209 1.649
H 3.446 3.892 6.999
H 4.194 6.253 6.440
H 8.151 9.053 1.091
H 6.807 7.573 3.072
H 2.850 7.733 8.422
H 6.023 1.029 4.200
H 2.066 4.073 9.550
N -2.638 6.929 3.873
N -6.595 8.377 9.223
N 1.513 2.520 1.571
N -2.444 2.582 6.921
N 0.317 0.354 3.349
N -3.640 4.747 8.698
N -1.699 5.462 6.682
N 2.258 9.843 1.332
N -0.652 0.360 9.368
N 3.305 4.741 4.018
N 5.246 5.456 2.001
N 1.289 9.849 7.351
N 4.050 7.621 3.779
N 0.093 7.684 9.128
N 8.202 1.827 1.477
N 4.245 3.275 6.826
Cl -4.292 1.048 9.283
Cl -0.335 4.054 3.934
Cl 1.909 6.370 1.274
Cl -2.048 8.935 6.623
Cl 3.654 1.268 4.076
Cl -0.303 3.834 9.426
Cl 1.942 6.149 6.766
Cl 5.899 9.156 1.416
O -4.435 6.060 6.067
O -0.478 9.246 0.717
O -2.541 0.923 4.401
O -6.498 4.179 9.750
O -3.221 7.610 9.426
O 0.736 7.696 4.077
O 0.871 2.508 6.623
O 4.828 2.594 1.273
O 8.104 6.025 0.949
O 4.147 9.281 6.299
O 2.085 0.958 9.982
O 6.042 4.144 4.632
CELL_PARAMETERS angstrom
9.520 0.000 0.000
0.000 10.204 0.000
-7.914 0.000 10.699
! energy of formation from the pure elements: -21.66 eV/f.u.
! symmetry: No. 14

Entry 2:
! BaCaCr4O8, relaxed, DFT PBE+U; values from VASP
&SYSTEM
  ibrav = 0, nat = 14, ntyp = 4
/
ATOMIC_SPECIES
Ba 137.33 Ba.upf
Ca 40.08 Ca.upf
Cr 52.00 Cr.upf
O 16.00 O.upf
ATOMIC_POSITIONS angstrom
Ba 0.000 0.000 0.000
Ca 0.000 0.000 3.929
Cr 0.000 3.175 1.893
Cr 0.000 3.175 5.966
Cr 2.750 1.588 1.893
Cr 2.750 1.588 5.966
O -0.900 1.560 2.383
O -1.850 3.203 5.475
O 1.801 0.000 2.383
O 0.900 1.560 5.475
O 0.000 3.175 0.000
O 2.750 1.588 0.000
O 3.699 0.000 5.475
O 1.850 3.203 2.383
CELL_PARAMETERS angstrom
5.500 0.000 0.000
-2.750 4.763 0.000
0.000 0.000 7.858
! energy of formation from the pure elements: -31.57 eV/f.u.
! symmetry: No. 162

Entry 3:
! Li9Mn2Co5O16, relaxed, DFT PBE+U; values from VASP
&SYSTEM
  ibrav = 0, nat = 32, ntyp = 4
/
ATOMIC_SPECIES
Li 6.94 Li.upf
Mn 54.94 Mn.upf
Co 58.93 Co.upf
O 16.00 O.upf
ATOMIC_POSITIONS angstrom
Li 0.000 0.000 0.000
Li 1.788 2.960 3.776
Li 1.621 2.302 0.938
Li 3.308 1.315 5.770
Li 3.128 0.679 2.789
Li 3.007 0.006 0.042
Li 6.339 5.248 4.768
Li 6.169 4.650 1.801
Li 7.896 3.652 6.730
Mn 3.409 5.258 4.774
Mn 6.303 1.338 5.758
Co 3.185 4.607 1.854
Co 4.888 3.633 6.692
Co 4.766 2.985 3.791
Co 4.557 2.299 0.932
Co 6.091 0.665 2.788
O 1.746 0.933 4.413
O 1.731 4.244 0.372
O 1.531 0.265 1.533
O 3.382 3.371 5.100
O 4.793 5.462 6.085
O 3.275 2.732 2.308
O 4.729 4.872 3.405
O 4.922 1.685 7.040
O 4.525 4.205 0.528
O 4.924 1.111 4.294
O 6.223 3.223 5.333
O 4.566 0.474 1.438
O 6.086 2.578 2.466
O 7.931 5.667 6.053
O 7.626 1.644 7.097
O 7.900 5.031 3.334
CELL_PARAMETERS angstrom
5.916 0.000 0.000
1.650 6.236 0.000
1.885 -0.330 7.652
! energy of formation from the pure elements: -58.68 eV/f.u.
! energy above the most stable polymorph in this dataset: 0.030 eV/atom
! symmetry: No. 1

Entry 4:
! MgZn2CoWO6, relaxed, DFT PBE+U; values from VASP
&SYSTEM
  ibrav = 0, nat = 11, ntyp = 5
/
ATOMIC_SPECIES
Mg 24.30 Mg.upf
Zn 65.41 Zn.upf
Co 58.93 Co.upf
W 183.84 W.upf
O 16.00 O.upf
ATOMIC_POSITIONS angstrom
Mg 0.000 0.000 0.000
Zn 5.891 2.107 1.706
Zn 8.296 3.481 3.850
Co 5.620 2.027 4.076
W 3.138 0.266 2.163
O 1.512 0.435 1.176
O 4.873 3.789 3.546
O 4.174 1.455 0.894
O 4.715 0.194 3.327
O 6.493 3.746 0.842
O 7.748 1.634 3.546
CELL_PARAMETERS angstrom
5.417 0.000 0.000
2.618 4.906 0.000
2.216 0.180 5.101
! energy of formation from the pure elements: -19.52 eV/f.u.
! energy above the most stable polymorph in this dataset: 0.034 eV/atom
! symmetry: No. 1